This record from the Materials Project describes CsAlVP2O10 after structural relaxation. The functional is GGA+U.

Summary:
**Theoretical density**: 3.116 g/cm³
**Formation energy from the elements**: -2585 meV per atom

abc: 8.0688 8.2765 14.5194
angles: 90.00 107.92 90.00
Last column: nearest neighbours and their distance in Å.
Fractional coordinates of all 60 atoms:
Cs: 0.1816 0.0240 0.2994  8 O 3.08-3.36
Cs: 0.1816 0.4760 0.7994  8 O 3.08-3.36
Cs: 0.8184 0.5240 0.2006  8 O 3.08-3.36
Cs: 0.8184 0.9760 0.7006  8 O 3.08-3.36
Al: 0.2196 0.0382 0.9665  4 O 1.74-1.77
Al: 0.2196 0.4618 0.4665  4 O 1.74-1.77
Al: 0.7804 0.5382 0.5335  4 O 1.74-1.77
Al: 0.7804 0.9618 0.0335  4 O 1.74-1.77
V: 0.2965 0.5448 0.1361  1 O 1.66
V: 0.2965 0.9552 0.6361  1 O 1.66
V: 0.7035 0.0448 0.3639  1 O 1.66
V: 0.7035 0.4552 0.8639  1 O 1.66
P: 0.0035 0.2282 0.5399  4 O 1.54-1.56
P: 0.0035 0.2718 0.0399  4 O 1.54-1.56
P: 0.4957 0.1072 0.8530  4 O 1.54-1.55
P: 0.4957 0.3928 0.3530  4 O 1.54-1.55
P: 0.5043 0.6072 0.6470  4 O 1.54-1.55
P: 0.5043 0.8928 0.1470  4 O 1.54-1.55
P: 0.9965 0.7282 0.9601  4 O 1.54-1.56
P: 0.9965 0.7718 0.4601  4 O 1.54-1.56
O: 0.0694 0.6210 0.4214  1 P 1.56
O: 0.0694 0.8790 0.9214  1 P 1.56
O: 0.0958 0.2145 0.9665  1 P 1.55
O: 0.0958 0.2855 0.4665  1 P 1.55
O: 0.1283 0.1422 0.6284  1 P 1.54
O: 0.1283 0.3578 0.1284  1 P 1.54
O: 0.1497 0.6128 0.0089  1 P 1.55
O: 0.1497 0.8872 0.5089  1 P 1.55
O: 0.2059 0.6602 0.2010  1 V 1.66
O: 0.2059 0.8398 0.7010  1 V 1.66
O: 0.3336 0.0647 0.8834  1 P 1.54
O: 0.3336 0.4353 0.3834  1 P 1.54
O: 0.3458 0.5094 0.5850  1 P 1.55
O: 0.3458 0.9906 0.0850  1 P 1.55
O: 0.4242 0.0853 0.5682  1 V 1.95
O: 0.4242 0.4147 0.0682  1 V 1.95
O: 0.4643 0.0624 0.7459  1 P 1.54
O: 0.4643 0.4376 0.2459  1 P 1.54
O: 0.4718 0.7103 0.1322  1 P 1.54
O: 0.4718 0.7897 0.6322  1 P 1.54
O: 0.5282 0.2103 0.3678  1 P 1.54
O: 0.5282 0.2897 0.8678  1 P 1.54
O: 0.5357 0.5624 0.7541  1 P 1.54
O: 0.5357 0.9376 0.2541  1 P 1.54
O: 0.5758 0.5853 0.9318  1 V 1.95
O: 0.5758 0.9147 0.4318  1 V 1.95
O: 0.6542 0.0094 0.9150  1 P 1.55
O: 0.6542 0.4906 0.4150  1 P 1.55
O: 0.6664 0.5647 0.6166  1 P 1.54
O: 0.6664 0.9353 0.1166  1 P 1.54
O: 0.7941 0.1602 0.2990  1 V 1.66
O: 0.7941 0.3398 0.7990  1 V 1.66
O: 0.8503 0.1128 0.4911  1 P 1.55
O: 0.8503 0.3872 0.9911  1 P 1.55
O: 0.8717 0.6422 0.8716  1 P 1.54
O: 0.8717 0.8578 0.3716  1 P 1.54
O: 0.9042 0.7145 0.5335  1 P 1.55
O: 0.9042 0.7855 0.0335  1 P 1.55
O: 0.9306 0.1210 0.0786  1 P 1.56
O: 0.9306 0.3790 0.5786  1 P 1.56